28
Lattice="7.342 0.000 0.000 0.000 9.451 0.000 0.000 0.000 13.032" Properties=species:S:1:pos:R:3 comment="Rb2CoCl4 | Materials Project | GGA-PBE | optimized geometry" delta_e_f_ev_per_atom=-1.7685 pbc="T T T"
Cl 0.001 1.691 4.546
Cl 5.507 4.648 7.663
Cl 1.836 6.485 11.902
Co 1.836 7.281 0.991
Rb 5.507 1.254 7.623
Co 1.836 2.555 5.526
Cl 0.001 6.416 1.970
Cl 5.507 7.692 5.385
Cl 3.670 1.691 4.546
Cl 7.341 7.761 8.486
Cl 5.507 9.374 11.886
Cl 3.672 7.761 8.486
Rb 1.836 0.162 10.770
Rb 1.836 8.197 5.409
Rb 1.836 4.888 8.779
Cl 1.836 1.759 7.647
Co 5.507 2.170 12.042
Cl 1.836 4.803 5.370
Cl 3.672 3.035 11.062
Cl 7.341 3.035 11.062
Cl 5.507 2.966 1.131
Rb 5.507 4.563 4.254
Rb 1.836 3.472 1.107
Co 5.507 6.896 7.507
Cl 1.836 0.078 1.146
Cl 3.670 6.416 1.970
Rb 5.507 5.980 11.925
Rb 5.507 9.289 2.263